Record 1
Below is a geometry-optimized RbFeCl4 structure, with properties calculated at the r2SCAN level.

Values from the calculation:
**Volume**: 746.3 Å³ per cell
**Total moment**: 20.0 Bohr magnetons per cell
**Space-group type**: Pnma (62)
**Formation enthalpy at 0 K**: -1477 meV per atom

a b c (Å): 7.1018 9.3013 11.2984
angles (deg): 90.00 90.00 90.00
Element x y z (fractional)
Rb 0.2500 0.1653 0.6801
Rb 0.7500 0.8347 0.3199
Rb 0.7500 0.6653 0.8199
Rb 0.2500 0.3347 0.1801
Fe 0.2500 0.6876 0.5675
Fe 0.7500 0.3124 0.4325
Fe 0.7500 0.1876 0.9325
Fe 0.2500 0.8124 0.0675
Cl 0.2500 0.5416 0.7194
Cl 0.7500 0.4584 0.2806
Cl 0.7500 0.0416 0.7806
Cl 0.2500 0.9584 0.2194
Cl 0.2500 0.5759 0.3972
Cl 0.7500 0.4241 0.6028
Cl 0.7500 0.0759 0.1028
Cl 0.2500 0.9241 0.8972
Cl 0.0003 0.8271 0.5806
Cl 0.5003 0.1729 0.4194
Cl 0.9997 0.3271 0.9194
Cl 0.4997 0.6729 0.0806
Cl 0.9997 0.1729 0.4194
Cl 0.4997 0.8271 0.5806
Cl 0.0003 0.6729 0.0806
Cl 0.5003 0.3271 0.9194

Record 2
Below is a geometry-optimized FeSeCl7 structure, with properties calculated at the r2SCAN level.

Values from the calculation:
**Volume**: 510.4 Å³ per cell
**Total moment**: 10.0 Bohr magnetons per cell
**Space-group type**: P1 (1)
**Formation enthalpy at 0 K**: -643 meV per atom

a b c (Å): 6.4055 8.3264 9.9075
angles (deg): 85.66 76.94 83.16
Element x y z (fractional)
Fe 0.4971 0.1259 0.1251
Fe 0.7556 0.5618 0.5531
Se 0.9584 0.5106 0.0773
Se 0.1782 0.9507 0.5481
Cl 0.9307 0.0466 0.4391
Cl 0.9814 0.9354 0.7554
Cl 0.3114 0.1716 0.5683
Cl 0.7092 0.3545 0.6979
Cl 0.8357 0.1836 0.0761
Cl 0.2806 0.3367 0.2134
Cl 0.4809 0.9208 0.2829
Cl 0.4188 0.0433 0.9434
Cl 0.0738 0.7328 0.1166
Cl 0.1774 0.4671 0.8805
Cl 0.6813 0.6177 0.9996
Cl 0.0938 0.6192 0.5111
Cl 0.5408 0.7699 0.6497
Cl 0.6783 0.5015 0.3576

Record 3
Below is a geometry-optimized FeTeCl7 structure, with properties calculated at the r2SCAN level.

Values from the calculation:
**Volume**: 541.8 Å³ per cell
**Total moment**: 10.0 Bohr magnetons per cell
**Space-group type**: P1 (1)
**Formation enthalpy at 0 K**: -805 meV per atom

a b c (Å): 6.5831 8.4757 10.0589
angles (deg): 85.72 77.04 82.57
Element x y z (fractional)
Fe 0.4977 0.1210 0.1216
Fe 0.7501 0.5509 0.5652
Te 0.9475 0.4958 0.0949
Te 0.1976 0.9250 0.5450
Cl 0.8282 0.1758 0.0653
Cl 0.2927 0.3290 0.2177
Cl 0.4910 0.9180 0.2756
Cl 0.4031 0.0475 0.9475
Cl 0.0640 0.7336 0.1308
Cl 0.1710 0.4633 0.8830
Cl 0.6641 0.6170 0.0082
Cl 0.0821 0.6010 0.5133
Cl 0.5489 0.7599 0.6636
Cl 0.6551 0.5063 0.3744
Cl 0.7148 0.3461 0.7038
Cl 0.3200 0.1626 0.5717
Cl 0.9878 0.9182 0.7634
Cl 0.9312 0.0382 0.4376